Entry 1:
The following is a PBE-GGA calculation of an optimized crystal structure of LaInNi, from the Materials Project database.

```
LaInNi
1.0
7.639 0.000 0.000
-3.819 6.615 0.000
0.000 0.000 4.041
La In Ni
3 3 3
Cartesian
-1.583 2.742 0.000
3.166 0.000 0.000
2.236 3.873 0.000
-2.887 5.001 2.021
0.932 1.614 2.021
5.775 0.000 2.021
0.000 0.000 0.000
0.000 4.410 2.021
3.819 2.205 2.021
```

***

Entry 2:
The following is a PBE-GGA calculation of an optimized crystal structure of La2InNi2, from the Materials Project database.

```
La2InNi2
1.0
7.590 0.000 0.000
0.000 7.824 0.000
0.000 0.000 3.819
La In Ni
4 2 4
Cartesian
1.280 1.409 0.000
2.515 5.321 0.000
5.074 2.504 0.000
6.310 6.416 0.000
0.000 3.912 1.910
3.795 0.000 1.910
1.045 7.013 1.910
2.749 3.101 1.910
4.840 4.724 1.910
6.544 0.812 1.910
```

Calculated values
Total magnetic moment (μB/cell): 0.002

***

Entry 3:
The following is a PBE-GGA calculation of an optimized crystal structure of LaInNi5, from the Materials Project database.

```
LaInNi5
1.0
4.952 0.000 0.000
-2.476 4.288 0.000
0.000 0.000 19.886
La In Ni
4 4 20
Cartesian
0.000 0.000 0.000
0.000 0.000 9.943
0.000 2.859 4.972
2.476 1.429 14.915
0.000 2.859 1.690
0.000 2.859 8.253
2.476 1.429 11.634
2.476 1.429 18.196
0.000 0.000 4.972
0.000 0.000 14.915
0.000 1.420 12.883
0.000 1.420 16.947
-1.246 3.578 12.883
-1.246 3.578 16.947
1.230 0.710 2.940
1.230 0.710 7.003
0.000 2.859 10.887
0.000 2.859 14.915
0.000 2.859 18.942
2.476 1.429 0.944
2.476 1.429 4.972
2.476 1.429 8.999
1.246 3.578 12.883
1.246 3.578 16.947
3.722 0.710 2.940
3.722 0.710 7.003
2.476 2.868 2.940
2.476 2.868 7.003
```

Calculated values
Total magnetic moment (μB/cell): 3.486

***

Entry 4:
The following is a PBE-GGA calculation of an optimized crystal structure of La2InNi2, from the Materials Project database.

```
La2InNi2
1.0
7.656 0.000 0.000
0.000 15.616 0.000
0.000 0.000 3.840
La In Ni
8 4 8
Cartesian
0.815 3.376 0.000
1.893 15.055 0.000
1.935 7.247 0.000
3.013 11.184 0.000
4.643 4.432 0.000
5.720 8.369 0.000
5.763 0.561 0.000
6.841 12.240 0.000
0.586 9.823 1.920
3.242 2.016 1.920
4.414 13.600 1.920
7.070 5.792 1.920
0.425 1.161 1.920
1.481 12.781 1.920
2.347 4.973 1.920
3.403 8.969 1.920
4.253 6.646 1.920
5.309 10.643 1.920
6.175 2.835 1.920
7.231 14.454 1.920
```

Calculated values
Total magnetic moment (μB/cell): 0.000

***

Entry 5:
The following is a PBE-GGA calculation of an optimized crystal structure of LaInNi2, from the Materials Project database.

```
LaInNi2
1.0
5.271 0.000 0.000
0.000 4.137 0.000
0.000 0.000 7.167
La In Ni
2 2 4
Cartesian
1.318 0.000 1.634
3.953 0.000 5.533
1.318 2.068 6.029
3.953 2.068 1.138
0.000 2.068 3.583
1.318 0.000 4.359
2.635 2.068 3.583
3.953 0.000 2.808
```

***

Entry 6:
The following is a PBE-GGA calculation of an optimized crystal structure of La3InNiS7, from the Materials Project database.

```
La3InNiS7
1.0
10.174 0.000 0.000
-5.087 8.811 0.000
0.000 0.000 6.330
La In Ni S
6 2 2 14
Cartesian
-2.452 6.839 0.000
0.391 3.268 0.000
3.026 1.296 3.165
2.062 7.516 0.000
4.696 5.543 3.165
7.539 1.972 3.165
0.000 5.874 3.618
5.087 2.937 0.453
0.000 0.000 1.189
0.000 0.000 4.354
-1.774 4.505 4.681
-3.532 7.677 2.663
0.205 1.914 2.663
1.760 0.780 5.827
0.000 5.874 1.193
-0.298 8.095 4.681
2.073 5.022 4.681
3.014 3.789 1.516
5.386 0.716 1.516
5.087 2.937 4.358
3.327 8.031 2.663
4.882 6.897 5.827
8.619 1.134 5.827
6.862 4.306 1.516
```

Calculated values
Total magnetic moment (μB/cell): 4.001

***

Entry 7:
The following is a PBE-GGA calculation of an optimized crystal structure of LaInS3O12, from the Materials Project database.

```
LaInS3O12
1.0
9.276 0.000 0.000
-4.638 8.033 0.000
0.000 0.000 24.056
La In S O
6 6 18 72
Cartesian
0.000 0.000 2.536
0.000 0.000 9.391
0.000 0.000 14.665
0.000 0.000 21.520
0.000 5.356 13.601
4.638 2.678 10.456
0.000 5.356 1.586
0.000 5.356 6.435
0.000 5.356 18.551
4.638 2.678 5.505
4.638 2.678 17.621
4.638 2.678 22.470
-1.358 2.352 12.028
-3.210 5.560 0.000
-2.710 5.252 16.192
-1.398 3.124 4.061
2.716 0.000 12.028
1.428 2.473 0.000
-1.233 7.682 4.061
1.445 3.061 16.192
1.929 2.782 7.864
3.405 0.351 19.995
2.632 5.260 4.061
1.265 7.754 16.192
5.903 0.279 7.864
3.240 4.909 19.995
6.421 0.000 0.000
3.280 5.681 12.028
7.270 2.773 19.995
6.083 4.972 7.864
-3.557 6.455 16.049
-0.798 1.702 10.819
-0.794 1.782 3.895
-3.425 6.436 22.871
-1.931 5.042 14.947
-1.161 3.942 2.831
-1.146 3.975 19.808
-1.729 5.121 7.681
-1.800 5.479 17.348
-0.745 3.689 12.154
-0.770 3.740 5.255
-1.742 5.424 0.238
-2.765 7.874 10.819
0.826 1.726 16.049
-2.698 7.830 3.895
0.776 1.849 22.871
1.873 0.159 13.237
1.081 1.578 8.007
1.940 0.203 20.161
1.213 1.597 1.186
-1.071 6.834 12.154
-1.015 6.830 5.255
0.794 3.735 17.348
0.811 3.813 0.238
1.068 3.976 7.681
-0.622 7.038 19.808
-0.644 7.068 2.831
1.237 3.841 14.947
3.567 1.199 11.902
2.838 2.555 6.708
3.624 1.203 18.801
2.897 2.609 23.819
2.708 2.992 9.109
3.994 0.965 21.225
4.016 0.995 4.248
2.909 2.913 16.375
1.768 5.053 19.808
0.661 6.970 7.681
1.805 5.057 2.831
0.693 7.184 14.947
0.930 6.830 0.238
1.784 5.497 5.255
1.007 6.853 17.348
1.816 5.544 12.154
5.332 0.849 9.109
3.492 4.058 4.248
3.477 4.092 21.225
5.299 1.063 16.375
5.568 1.204 23.819
5.645 1.180 6.708
3.868 4.294 18.801
3.893 4.345 11.902
2.648 7.781 22.871
3.492 6.455 3.895
2.731 7.886 16.049
3.563 6.491 10.819
7.286 0.252 1.186
7.369 0.147 8.007
3.844 6.252 20.161
3.840 6.332 13.237
6.423 2.537 18.801
5.450 4.220 23.819
6.454 2.490 11.902
5.432 4.298 6.708
5.706 4.058 16.375
6.407 2.980 4.248
6.443 2.977 21.225
5.875 4.193 9.109
5.415 6.184 1.186
8.130 1.578 20.161
8.202 1.542 13.237
5.464 6.308 8.007
```

Calculated values
Total magnetic moment (μB/cell): 0.006

***

Entry 8:
The following is a PBE-GGA calculation of an optimized crystal structure of SrLaInO4, from the Materials Project database.

```
SrLaInO4
1.0
12.539 0.000 0.000
0.000 5.982 0.000
0.000 0.000 5.991
Sr La In O
4 4 4 16
Cartesian
1.841 1.311 0.000
4.429 1.311 2.995
8.110 4.671 0.000
10.699 4.671 2.995
1.833 4.192 2.825
4.436 4.192 5.820
8.103 1.790 2.825
10.706 1.790 5.820
0.009 1.474 2.900
6.261 1.474 5.895
6.278 4.508 2.900
12.530 4.508 5.895
0.382 2.816 4.579
0.431 5.741 4.151
2.152 1.870 2.424
2.220 4.667 0.494
4.049 4.667 3.489
4.118 1.870 5.420
5.839 5.741 1.155
5.887 2.816 1.584
6.652 3.166 4.579
6.700 0.240 4.151
8.421 4.112 2.424
8.490 1.315 0.494
10.319 1.315 3.489
10.388 4.112 5.420
12.109 0.240 1.155
12.157 3.166 1.584
```

Calculated values
Total magnetic moment (μB/cell): 0.007

***

Across the entries above, E_form takes the values -469, -440, -293, -453, -417, -1805, -2269, -2959 meV/atom, respectively.